# LiV3O4

A geometry-optimized LiV3O4 structure (PBE with a Hubbard U, the Materials Project).

a b c (Å): 4.269 4.322 8.626
angles (deg): 90.00 90.00 90.00
Space group Pmm2 (No. 25)
Unique sites:
Li1 0.000 0.000 0.000
Li2 0.500 0.500 0.499
V1 0.000 0.000 0.507
V2 0.000 0.500 0.248
V3 0.000 0.500 0.750
V4 0.500 0.000 0.255
V5 0.500 0.000 0.753
V6 0.500 0.500 0.998
O1 0.000 0.000 0.269
O2 0.000 0.000 0.746
O3 0.000 0.500 0.502
O4 0.000 0.500 0.998
O5 0.500 0.000 0.002
O6 0.500 0.000 0.505
O7 0.500 0.500 0.235
O8 0.500 0.500 0.758

Results
- formation energy from the elements (meV/atom) = -2275
- DFT total energy (eV per formula unit) = -59.31
- crystal system = orthorhombic

=====

# CoWO4

A geometry-optimized CoWO4 structure (PBE with a Hubbard U, the Materials Project).

a b c (Å): 4.701 5.767 5.062
angles (deg): 90.00 90.76 90.00
Space group Pc (No. 7)
Unique sites:
Co1 0.000 0.158 0.000
W1 0.500 0.327 0.500
O1 0.241 0.125 0.350
O2 0.282 0.391 0.819
O3 0.717 0.390 0.180
O4 0.759 0.126 0.649

Results
- formation energy from the elements (meV/atom) = -1922
- DFT total energy (eV per formula unit) = -42.57
- crystal system = monoclinic

=====

# Na3VP8O23

A geometry-optimized Na3VP8O23 structure (PBE with a Hubbard U, the Materials Project).

a b c (Å): 12.178 12.178 12.178
angles (deg): 90.00 90.00 90.00
Space group P4_132 (No. 213)
Unique sites:
Na1 0.044 0.294 0.125
V1 0.125 0.625 0.875
P1 0.017 0.017 0.017
P2 0.069 0.359 0.854
O1 0.010 0.405 0.425
O2 0.011 0.818 0.563
O3 0.016 0.375 0.734
O4 0.041 0.120 0.636
O5 0.088 0.088 0.088

Results
- formation energy from the elements (meV/atom) = -2621
- DFT total energy (eV per formula unit) = -244.41
- crystal system = cubic

=====

# Li6Cr3CoP6O24

A geometry-optimized Li6Cr3CoP6O24 structure (PBE with a Hubbard U, the Materials Project).

a b c (Å): 8.481 8.513 8.515
angles (deg): 61.42 61.45 61.44
Space group P1 (No. 1)
Unique sites:
Li1 0.000 0.000 0.000
Li2 0.093 0.502 0.916
Li3 0.274 0.852 0.645
Li4 0.514 0.694 0.301
Li5 0.727 0.357 0.149
Li6 0.902 0.117 0.492
Cr1 0.108 0.705 0.506
Cr2 0.391 0.993 0.788
Cr3 0.610 0.211 0.007
Co1 0.892 0.494 0.294
P1 0.000 0.308 0.689
P2 0.208 0.102 0.187
P3 0.292 0.599 0.106
P4 0.503 0.389 0.610
P5 0.705 0.891 0.400
P6 0.792 0.812 0.904
O1 0.016 0.273 0.207
O2 0.056 0.467 0.661
O3 0.127 0.545 0.134
O4 0.157 0.111 0.714
O5 0.181 0.943 0.384
O6 0.218 0.055 0.029
O7 0.266 0.653 0.267
O8 0.293 0.772 0.920
O9 0.344 0.587 0.581
O10 0.382 0.137 0.149
O11 0.452 0.229 0.637
O12 0.485 0.440 0.085
O13 0.513 0.914 0.559
O14 0.548 0.362 0.774
O15 0.621 0.849 0.862
O16 0.671 0.406 0.415
O17 0.707 0.077 0.228
O18 0.729 0.727 0.349
O19 0.782 0.973 0.945
O20 0.806 0.618 0.072
O21 0.843 0.285 0.886
O22 0.868 0.860 0.456
O23 0.946 0.332 0.527
O24 0.986 0.778 0.742

Results
- formation energy from the elements (meV/atom) = -2537
- DFT total energy (eV per formula unit) = -276.12
- crystal system = triclinic

=====

# Li2MnP2O7

A geometry-optimized Li2MnP2O7 structure (PBE with a Hubbard U, the Materials Project).

a b c (Å): 5.056 13.141 9.551
angles (deg): 90.00 119.01 90.00
Space group P2_1/c (No. 14)
Unique sites:
Li1 0.040 0.197 0.351
Li2 0.389 0.645 0.662
Mn1 0.371 0.129 0.141
P1 0.043 0.029 0.778
P2 0.268 0.690 0.957
O1 0.045 0.739 0.477
O2 0.108 0.581 0.901
O3 0.171 0.571 0.258
O4 0.211 0.516 0.679
O5 0.284 0.105 0.891
O6 0.343 0.728 0.828
O7 0.448 0.176 0.381

Results
- formation energy from the elements (meV/atom) = -2672
- DFT total energy (eV per formula unit) = -84.02
- crystal system = monoclinic

=====

# Sm4Fe3CoAs4O4

A geometry-optimized Sm4Fe3CoAs4O4 structure (PBE with a Hubbard U, the Materials Project).

a b c (Å): 4.012 4.012 18.338
angles (deg): 90.00 90.00 90.00
Space group P-4m2 (No. 115)
Unique sites:
Sm1 0.000 0.500 0.186
Sm2 0.000 0.500 0.689
Fe1 0.000 0.000 0.500
Fe2 0.500 0.500 0.000
Fe3 0.500 0.500 0.500
Co1 0.000 0.000 0.000
As1 0.000 0.500 0.409
As2 0.000 0.500 0.912
O1 0.000 0.000 0.249
O2 0.500 0.500 0.249

Results
- formation energy from the elements (meV/atom) = -1670
- DFT total energy (eV per formula unit) = -105.39
- crystal system = tetragonal

=====

# NaLa5Mg4W4O24

A geometry-optimized NaLa5Mg4W4O24 structure (PBE with a Hubbard U, the Materials Project).

a b c (Å): 11.246 11.206 9.751
angles (deg): 90.00 125.18 90.00
Space group Cm (No. 8)
Unique sites:
Na1 0.000 0.000 0.000
La1 0.232 0.500 0.492
La2 0.234 0.000 0.497
La3 0.485 0.250 0.501
La4 0.492 0.000 0.996
Mg1 0.352 0.000 0.239
Mg2 0.357 0.500 0.240
Mg3 0.360 0.252 0.755
W1 0.100 0.248 0.237
W2 0.109 0.000 0.757
W3 0.115 0.500 0.758
O1 0.010 0.131 0.301
O2 0.011 0.372 0.301
O3 0.201 0.379 0.696
O4 0.204 0.119 0.695
O5 0.206 0.382 0.227
O6 0.211 0.125 0.231
O7 0.256 0.500 0.987
O8 0.267 0.254 0.491
O9 0.269 0.000 0.985
O10 0.449 0.000 0.504
O11 0.451 0.500 0.501
O12 0.457 0.238 0.008
O13 0.490 0.115 0.770
O14 0.494 0.380 0.764

Results
- formation energy from the elements (meV/atom) = -3037
- DFT total energy (eV per formula unit) = -284.15
- crystal system = monoclinic

=====

# PrNi2O6

A geometry-optimized PrNi2O6 structure (PBE with a Hubbard U, the Materials Project).

a b c (Å): 5.299 5.479 7.599
angles (deg): 90.03 90.61 90.04
Space group P1 (No. 1)
Unique sites:
Pr1 0.000 0.000 0.000
Pr2 0.451 0.506 0.504
Ni1 0.482 0.000 0.255
Ni2 0.482 0.003 0.747
Ni3 0.964 0.499 0.245
Ni4 0.973 0.500 0.755
O1 0.204 0.751 0.722
O2 0.223 0.770 0.275
O3 0.228 0.269 0.782
O4 0.249 0.251 0.226
O5 0.476 0.069 0.492
O6 0.487 0.951 0.013
O7 0.689 0.733 0.286
O8 0.714 0.722 0.723
O9 0.746 0.210 0.220
O10 0.757 0.240 0.784
O11 0.966 0.460 0.511
O12 0.977 0.562 0.992

Results
- formation energy from the elements (meV/atom) = -1296
- DFT total energy (eV per formula unit) = -48.49
- crystal system = triclinic

=====

One value per record, in order, for energy with MP2020 corrections: -134.3 -102.8 -1047.6 -300.2 -362.0 -116.5 -636.8 -115.4 eV for the cell shown.